[1]
LiMn2P2O8 | PBE+U | relaxed

Output
The calculation puts the formation energy from the elements at -2.520 eV per atom. Its total moment is 54.00 Bohr magnetons per cell. The energy above the most stable polymorph in this dataset is 17.8 meV per atom.

Cell lengths 12.3453, 6.7142, 10.9174 Å; angles 84.16, 90.00, 90.00 degrees
Atoms (fractional coordinates):
P  0.5407  0.5000  0.7500
O  0.4269  0.3359  0.9730
O  0.4146  0.9864  0.9106
O  0.6553  0.9335  0.8765
Mn  0.0911  0.8269  0.5251
P  0.0402  0.0000  0.2500
O  0.6203  0.3914  0.8456
O  0.9336  0.1647  0.0247
O  0.6553  0.0665  0.6235
O  0.4700  0.3331  0.7025
O  0.8468  0.4332  0.8747
O  0.2446  0.1772  0.9220
O  0.0852  0.5154  0.5852
O  0.2497  0.7053  0.9261
O  0.2497  0.2947  0.5739
O  0.5300  0.3331  0.2025
O  0.7503  0.2947  0.0739
Li  0.7614  0.0000  0.2500
Li  0.2502  0.7485  0.2491
Li  0.2502  0.2515  0.2509
Mn  0.5198  0.0000  0.7500
O  0.0664  0.8353  0.9753
O  0.9661  0.1637  0.2971
O  0.3797  0.6086  0.1544
P  0.8583  0.6425  0.4879
Mn  0.5918  0.6635  0.4719
Li  0.7498  0.7485  0.7491
Mn  0.9089  0.1731  0.4749
Mn  0.0911  0.1731  0.9749
Mn  0.4082  0.3365  0.5281
Mn  0.0145  0.5000  0.2500
O  0.8802  0.8908  0.8450
O  0.8468  0.5668  0.6253
O  0.9148  0.4846  0.4148
O  0.9661  0.8363  0.2029
O  0.6203  0.6086  0.6544
O  0.5854  0.0136  0.0894
Li  0.2386  0.0000  0.7500
O  0.0664  0.1647  0.5247
Mn  0.4082  0.6635  0.9719
O  0.5854  0.9864  0.4106
Mn  0.4802  0.0000  0.2500
O  0.7503  0.7053  0.4261
O  0.5731  0.3359  0.4730
O  0.2446  0.8228  0.5780
O  0.1532  0.5668  0.1253
O  0.7554  0.1772  0.4220
Mn  0.9855  0.5000  0.7500
P  0.3574  0.1403  0.9861
P  0.6426  0.8597  0.0139
O  0.1532  0.4332  0.3747
O  0.1198  0.1092  0.1550
O  0.5731  0.6641  0.0270
P  0.9598  0.0000  0.7500
O  0.4146  0.0136  0.5894
O  0.0852  0.4846  0.9148
O  0.1198  0.8908  0.3450
O  0.9336  0.8353  0.4753
O  0.4269  0.6641  0.5270
P  0.1417  0.6425  0.9879
O  0.7554  0.8228  0.0780
O  0.0339  0.1637  0.7971
P  0.8583  0.3575  0.0121
P  0.6426  0.1403  0.4861
O  0.9148  0.5154  0.0852
Mn  0.9089  0.8269  0.0251
Li  0.7498  0.2515  0.7509
O  0.4700  0.6669  0.7975
O  0.3797  0.3914  0.3456
P  0.3574  0.8597  0.5139
O  0.3447  0.9335  0.3765
O  0.0339  0.8363  0.7029
O  0.8802  0.1092  0.6550
P  0.1417  0.3575  0.5121
P  0.4593  0.5000  0.2500
Mn  0.5918  0.3365  0.0281
O  0.3447  0.0665  0.1235
O  0.5300  0.6669  0.2975

---

[2]
Li6Mn3P8O29 | PBE+U | relaxed

Output
The calculation puts the formation energy from the elements at -2.510 eV per atom. Its total moment is 18.00 Bohr magnetons per cell.

Cell lengths 9.7274, 9.7343, 13.9202 Å; angles 89.99, 90.02, 119.85 degrees
Atoms (fractional coordinates):
O  0.1884  0.6801  0.6642
P  0.6824  0.9089  0.3419
Mn  0.5672  0.0004  0.7492
O  0.9975  0.7549  0.0685
P  0.2284  0.3183  0.3411
O  0.3212  0.5087  0.6648
O  0.2572  0.3386  0.8408
Li  0.3317  0.6641  0.8852
Li  0.2250  0.9153  0.0630
O  0.7921  0.9999  0.2506
O  0.8108  0.3221  0.3304
O  0.6649  0.9203  0.8426
P  0.6681  0.3339  0.3700
Li  0.7753  0.0981  0.9418
O  0.2323  0.2356  0.0727
O  0.0001  0.7914  0.2492
Li  0.9887  0.0312  0.4913
O  0.7708  0.9832  0.4336
O  0.4893  0.6748  0.1645
O  0.6167  0.5211  0.6718
O  0.0797  0.7418  0.8394
O  0.7581  0.0022  0.0695
O  0.3331  0.6676  0.0198
P  0.3340  0.6668  0.6269
O  0.3342  0.6671  0.5191
O  0.8184  0.4886  0.8326
Mn  0.4348  0.0013  0.2504
O  0.6627  0.3382  0.4778
O  0.7446  0.6630  0.1586
O  0.2126  0.2042  0.2541
O  0.3823  0.4780  0.3289
Li  0.6647  0.9046  0.5588
Mn  0.4315  0.4316  0.7507
Li  0.9074  0.6781  0.9408
Mn  0.9987  0.4319  0.2523
O  0.4794  0.0979  0.6720
O  0.2388  0.9888  0.9343
P  0.0922  0.3226  0.8425
O  0.7716  0.7689  0.5688
P  0.3183  0.0887  0.6599
O  0.6768  0.4913  0.3323
O  0.7442  0.0798  0.6594
O  0.0028  0.7740  0.4310
O  0.3249  0.8147  0.1655
O  0.9933  0.2066  0.7563
O  0.3349  0.2553  0.6597
O  0.5157  0.3281  0.8287
O  0.9080  0.3804  0.6684
O  0.5088  0.6256  0.8241
Li  0.0928  0.3164  0.0625
P  0.2311  0.9085  0.8425
P  0.6775  0.7681  0.8414
O  0.6739  0.3385  0.9774
P  0.7685  0.6798  0.6586
Li  0.7628  0.6649  0.4371
O  0.7533  0.7540  0.9320
O  0.4919  0.8124  0.6646
O  0.5086  0.1855  0.3354
O  0.7890  0.7889  0.7513
O  0.0982  0.6192  0.3290
P  0.7681  0.0904  0.1607
P  0.3199  0.2310  0.1588
O  0.4836  0.3785  0.1747
O  0.6727  0.1831  0.8353
P  0.6669  0.3344  0.8697
O  0.9187  0.6632  0.6587
O  0.5237  0.9048  0.3302
O  0.1159  0.4913  0.8233
Li  0.2343  0.3379  0.5583
Mn  0.0006  0.5654  0.7476
O  0.3374  0.0808  0.1595
Li  0.6820  0.7737  0.0640
O  0.2248  0.2311  0.4332
P  0.0891  0.7708  0.3408
P  0.9095  0.6758  0.1593
O  0.9196  0.2550  0.1598
Li  0.0981  0.7638  0.5587
Li  0.3354  0.1018  0.4379
O  0.8954  0.5144  0.1767
O  0.6618  0.7404  0.3377
O  0.2107  0.9999  0.7519
P  0.3323  0.6664  0.1286
O  0.1846  0.5108  0.1650
P  0.9135  0.2262  0.6591
O  0.0032  0.2516  0.9338
O  0.0819  0.3380  0.3389
O  0.2557  0.9200  0.3411
O  0.0034  0.2128  0.5754
O  0.2314  0.0036  0.5692
Mn  0.5647  0.5632  0.2488
O  0.3760  0.8846  0.8235
O  0.6207  0.1063  0.1768

---

[3]
LiMnPO4 | PBE+U | relaxed

Output
The calculation puts the formation energy from the elements at -2.569 eV per atom. Its total moment is 0.00 Bohr magnetons per cell. The energy above the most stable polymorph in this dataset is 64.7 meV per atom.

Cell lengths 4.8237, 10.3031, 6.4805 Å; angles 90.00, 90.00, 90.00 degrees
Atoms (fractional coordinates):
O  0.2079  0.4556  0.2500
Mn  0.5000  0.5000  0.5000
P  0.4223  0.0981  0.2500
O  0.3030  0.1632  0.4466
Li  0.0004  0.2839  0.2500
P  0.5777  0.9019  0.7500
O  0.2549  0.9088  0.7500
O  0.8030  0.3368  0.5534
O  0.7451  0.0912  0.2500
P  0.0777  0.5981  0.2500
O  0.6970  0.8368  0.9466
Mn  0.0000  0.0000  0.5000
O  0.2451  0.4088  0.7500
O  0.2921  0.9556  0.2500
O  0.7079  0.0444  0.7500
P  0.9223  0.4019  0.7500
O  0.1970  0.6632  0.4466
Li  0.9996  0.7161  0.7500
Mn  0.5000  0.5000  0.0000
Li  0.4996  0.7839  0.2500
Li  0.5004  0.2161  0.7500
O  0.1970  0.6632  0.0534
O  0.7549  0.5912  0.2500
O  0.8030  0.3368  0.9466
Mn  0.0000  0.0000  0.0000
O  0.3030  0.1632  0.0534
O  0.7921  0.5444  0.7500
O  0.6970  0.8368  0.5534

---

[4]
LiMnP2O7 | PBE+U | relaxed

Output
The calculation puts the formation energy from the elements at -2.552 eV per atom. Its total moment is 16.00 Bohr magnetons per cell. The energy above the most stable polymorph in this dataset is 13.8 meV per atom.

Cell lengths 8.0703, 6.9528, 9.6813 Å; angles 67.63, 90.00, 90.00 degrees
Atoms (fractional coordinates):
O  0.5885  0.5321  0.1357
Li  0.3705  0.7927  0.5238
P  0.4613  0.0472  0.7971
O  0.1828  0.0452  0.3981
P  0.0387  0.0472  0.2971
O  0.5948  0.2268  0.7881
O  0.9188  0.6129  0.1357
Mn  0.2645  0.2760  0.0042
O  0.5812  0.6129  0.6357
O  0.4188  0.3871  0.3643
O  0.4351  0.1513  0.1508
O  0.2717  0.5360  0.1051
O  0.0649  0.1513  0.6508
Li  0.8705  0.2073  0.9762
Mn  0.2355  0.2760  0.5042
O  0.9115  0.5321  0.6357
Mn  0.7645  0.7240  0.4958
O  0.4115  0.4679  0.8643
O  0.9052  0.2268  0.2881
O  0.0948  0.7732  0.7119
O  0.2283  0.5360  0.6051
O  0.3172  0.0452  0.8981
O  0.8172  0.9548  0.6019
O  0.9137  0.9054  0.8693
P  0.9613  0.9528  0.7029
O  0.4137  0.0946  0.6307
O  0.0812  0.3871  0.8643
O  0.5649  0.8487  0.8492
O  0.9351  0.8487  0.3492
O  0.6828  0.9548  0.1019
O  0.4052  0.7732  0.2119
O  0.0863  0.0946  0.1307
O  0.0885  0.4679  0.3643
O  0.7283  0.4640  0.8949
P  0.0818  0.5463  0.6999
Li  0.1295  0.7927  0.0238
P  0.9182  0.4537  0.3001
O  0.5863  0.9054  0.3693
O  0.7717  0.4640  0.3949
P  0.5387  0.9528  0.2029
Li  0.6295  0.2073  0.4762
P  0.4182  0.5463  0.1999
Mn  0.7355  0.7240  0.9958
P  0.5818  0.4537  0.8001

---

[5]
LiMn2P4O14 | PBE+U | relaxed

Output
The calculation puts the formation energy from the elements at -2.407 eV per atom. Its total moment is 7.00 Bohr magnetons per cell. The energy above the most stable polymorph in this dataset is 9.8 meV per atom.

Cell lengths 5.2133, 6.2855, 9.7554 Å; angles 110.45, 102.05, 104.02 degrees
Atoms (fractional coordinates):
O  0.9449  0.1036  0.6541
O  0.5293  0.2282  0.5063
O  0.3695  0.1440  0.9744
O  0.2195  0.4370  0.1575
O  0.6722  0.8821  0.0192
O  0.0693  0.8869  0.3488
O  0.6419  0.8656  0.7542
O  0.0959  0.3141  0.4088
Mn  0.1042  0.5860  0.3466
P  0.7475  0.8461  0.6094
P  0.4160  0.2904  0.1441
O  0.7478  0.5283  0.8246
O  0.7163  0.4465  0.2423
Li  0.3548  0.2421  0.8083
Mn  0.9059  0.4001  0.6362
O  0.4930  0.7556  0.4698
P  0.2566  0.1333  0.3734
O  0.2748  0.5463  0.7829
O  0.3214  0.0979  0.2165
P  0.5879  0.7059  0.8526
O  0.9315  0.6849  0.5924

---

[6]
LiMn2P2O8 | PBE+U | relaxed

Output
The calculation puts the formation energy from the elements at -2.521 eV per atom. Its total moment is 54.00 Bohr magnetons per cell. The energy above the most stable polymorph in this dataset is 17.7 meV per atom.

Cell lengths 8.6703, 9.0912, 12.5574 Å; angles 105.38, 99.59, 104.41 degrees
Atoms (fractional coordinates):
O  0.7369  0.8536  0.6853
Mn  0.9321  0.2367  0.6171
O  0.5210  0.2605  0.5416
O  0.1611  0.1360  0.9653
P  0.2911  0.9795  0.2706
O  0.7258  0.6021  0.1343
Mn  0.7263  0.2604  0.9902
O  0.6705  0.5477  0.5516
O  0.1689  0.9098  0.7321
O  0.4639  0.2342  0.9562
O  0.7252  0.1000  0.6340
O  0.0044  0.6382  0.9646
P  0.8732  0.0090  0.3567
O  0.6027  0.8229  0.8673
O  0.3973  0.1771  0.1327
Mn  0.7374  0.7545  0.4916
Li  0.5000  0.5000  0.0000
Mn  0.0679  0.7633  0.3829
O  0.2631  0.1464  0.3147
O  0.2798  0.5801  0.1113
P  0.3405  0.1266  0.0008
P  0.7089  0.0205  0.7294
O  0.2787  0.0842  0.6132
O  0.7202  0.4199  0.8887
O  0.0008  0.1341  0.4645
P  0.1268  0.9910  0.6433
O  0.1705  0.3832  0.6516
O  0.1679  0.8850  0.1515
O  0.0470  0.6045  0.2058
P  0.6510  0.3670  0.5007
O  0.8222  0.6203  0.7855
O  0.0378  0.1136  0.6995
O  0.2742  0.3979  0.8657
O  0.5341  0.5203  0.2449
Mn  0.6242  0.1483  0.2137
O  0.8321  0.1150  0.8485
O  0.9956  0.3618  0.0354
Mn  0.6141  0.6451  0.7105
Li  0.4958  0.2456  0.7458
O  0.8194  0.3405  0.5288
Li  0.9930  0.8705  0.8526
Mn  0.2737  0.7396  0.0098
P  0.7103  0.5211  0.2295
O  0.9992  0.8659  0.5355
O  0.5361  0.7658  0.0438
O  0.7316  0.3553  0.1807
O  0.1778  0.3797  0.2145
O  0.7213  0.9158  0.3868
O  0.6756  0.0544  0.0485
P  0.8705  0.5157  0.8585
Li  0.5042  0.7544  0.2542
O  0.5367  0.0215  0.7455
Mn  0.3859  0.3549  0.2895
Mn  0.3758  0.8517  0.7863
O  0.8389  0.8640  0.0347
O  0.4790  0.7395  0.4584
O  0.1806  0.6595  0.4712
O  0.9530  0.3955  0.7942
P  0.6595  0.8734  0.9992
O  0.3244  0.9456  0.9515
O  0.5919  0.3223  0.3661
O  0.4633  0.9785  0.2545
O  0.2684  0.6447  0.8193
Mn  0.9367  0.7366  0.1214
O  0.4659  0.4797  0.7551
Li  0.0070  0.1295  0.1474
O  0.8311  0.0902  0.2679
O  0.4081  0.6777  0.6339
Mn  0.0633  0.2634  0.8786
O  0.8295  0.6168  0.3484
P  0.1295  0.4843  0.1415
O  0.9622  0.8864  0.3005
Li  0.5000  0.0000  0.5000
P  0.2897  0.4789  0.7705
O  0.3295  0.4523  0.4484
Mn  0.2626  0.2455  0.5084
P  0.3490  0.6330  0.4993
O  0.2748  0.9000  0.3660

---

[7]
LiMn2P2O8 | PBE+U | relaxed

Output
The calculation puts the formation energy from the elements at -2.463 eV per atom. Its total moment is 18.00 Bohr magnetons per cell. The energy above the most stable polymorph in this dataset is 75.7 meV per atom.

Cell lengths 5.3501, 8.5318, 8.4991 Å; angles 109.09, 90.00, 89.97 degrees
Atoms (fractional coordinates):
P  0.3433  0.2570  0.5106
P  0.1817  0.7279  0.8240
Li  0.3345  0.5139  0.2963
O  0.8003  0.2392  0.1641
O  0.1855  0.8744  0.9883
O  0.3366  0.7618  0.6871
O  0.6053  0.3355  0.5644
O  0.3557  0.0829  0.3850
Mn  0.6855  0.8642  0.7062
O  0.6895  0.5774  0.3661
O  0.9074  0.6803  0.7641
O  0.3105  0.5775  0.8659
O  0.6446  0.0829  0.8849
O  0.3952  0.3357  0.0645
Mn  0.1669  0.3781  0.8908
Mn  0.8335  0.3778  0.3907
O  0.8140  0.8743  0.4882
O  0.8024  0.3755  0.9361
O  0.2004  0.2395  0.6642
P  0.8178  0.7277  0.3240
Li  0.6656  0.5139  0.7963
Mn  0.3137  0.8642  0.2064
O  0.1981  0.3756  0.4360
O  0.0922  0.6802  0.2640
O  0.6626  0.7615  0.1871
P  0.6573  0.2569  0.0106

---

Which value of total moment does entry 7 give?
18.00 Bohr magnetons per cell

---

Look up the formation energy from the elements of the fourth one.
-2.552 eV per atom